No. 1
VASP calculation (PBE) on a relaxed structure of Na3Mg.

The structure in CIF format:
```
data_Na3Mg
_cell_length_a 4.942
_cell_length_b 4.942
_cell_length_c 10.465
_cell_angle_alpha 90.00
_cell_angle_beta 90.00
_cell_angle_gamma 90.00
_space_group_name_H-M_alt 'I 4/m m m'
_space_group_IT_number 139
_space_group_name_Hall '-I 4 2'
loop_
_atom_site_label
_atom_site_type_symbol
_atom_site_fract_x
_atom_site_fract_y
_atom_site_fract_z
_atom_site_occupancy
Na1 Na 0.000 0.000 0.000 1
Na2 Na 0.000 0.500 0.250 1
Mg1 Mg 0.000 0.000 0.500 1
```

Magnetic moment in Bohr magnetons per cell: 0.00
V in Å³/cell: 255.5
Total energy in eV per cell: -10.39


No. 2
VASP calculation (PBE) on a relaxed structure of NaMg6Nb.

The structure in CIF format:
```
data_NaMg6Nb
_cell_length_a 4.522
_cell_length_b 8.887
_cell_length_c 8.898
_cell_angle_alpha 90.00
_cell_angle_beta 90.00
_cell_angle_gamma 90.00
_space_group_name_H-M_alt 'A m m 2'
_space_group_IT_number 38
loop_
_space_group_symop_operation_xyz
'x,y,z'
'-x,-y,z'
'-x,y,z'
'x,-y,z'
'x,y+1/2,z+1/2'
'-x,-y+1/2,z+1/2'
'-x,y+1/2,z+1/2'
'x,-y+1/2,z+1/2'
loop_
_atom_site_label
_atom_site_type_symbol
_atom_site_fract_x
_atom_site_fract_y
_atom_site_fract_z
_atom_site_occupancy
Na1 Na 0.000 0.000 0.000 1
Mg1 Mg 0.000 0.247 0.254 1
Mg2 Mg 0.500 0.000 0.274 1
Mg3 Mg 0.500 0.000 0.738 1
Mg4 Mg 0.500 0.235 0.506 1
Nb1 Nb 0.000 0.000 0.507 1
```

Magnetic moment in Bohr magnetons per cell: 0.71
V in Å³/cell: 357.6
E above lowest polymorph in kcal/mol of atoms: 0.000


No. 3
VASP calculation (PBE) on a relaxed structure of NaMg6Nb.

The structure in CIF format:
```
data_NaMg6Nb
_cell_length_a 5.107
_cell_length_b 6.400
_cell_length_c 10.915
_cell_angle_alpha 90.00
_cell_angle_beta 90.00
_cell_angle_gamma 90.00
_space_group_name_H-M_alt 'A m m 2'
_space_group_IT_number 38
loop_
_space_group_symop_operation_xyz
'x,y,z'
'-x,-y,z'
'-x,y,z'
'x,-y,z'
'x,y+1/2,z+1/2'
'-x,-y+1/2,z+1/2'
'-x,y+1/2,z+1/2'
'x,-y+1/2,z+1/2'
loop_
_atom_site_label
_atom_site_type_symbol
_atom_site_fract_x
_atom_site_fract_y
_atom_site_fract_z
_atom_site_occupancy
Na1 Na 0.000 0.000 0.000 1
Mg1 Mg 0.000 0.000 0.499 1
Mg2 Mg 0.000 0.234 0.755 1
Mg3 Mg 0.500 0.000 0.328 1
Mg4 Mg 0.500 0.249 0.583 1
Nb1 Nb 0.500 0.000 0.819 1
```

Magnetic moment in Bohr magnetons per cell: 1.30
V in Å³/cell: 356.8
E above lowest polymorph in kcal/mol of atoms: 2.163


No. 4
VASP calculation (PBE) on a relaxed structure of Na7MgNbO6.

The structure in CIF format:
```
data_Na7MgNbO6
_cell_length_a 6.529
_cell_length_b 6.559
_cell_length_c 6.560
_cell_angle_alpha 69.31
_cell_angle_beta 69.00
_cell_angle_gamma 69.08
_space_group_name_H-M_alt 'P 1'
_space_group_IT_number 1
loop_
_space_group_symop_operation_xyz
'x,y,z'
loop_
_atom_site_label
_atom_site_type_symbol
_atom_site_fract_x
_atom_site_fract_y
_atom_site_fract_z
_atom_site_occupancy
Na1 Na 0.000 0.000 0.000 1
Na2 Na 0.028 0.874 0.550 1
Na3 Na 0.129 0.485 0.953 1
Na4 Na 0.178 0.349 0.474 1
Na5 Na 0.527 0.075 0.854 1
Na6 Na 0.653 0.527 0.820 1
Na7 Na 0.729 0.378 0.348 1
Mg1 Mg 0.368 0.712 0.186 1
Nb1 Nb 0.546 0.897 0.372 1
O1 O 0.249 0.033 0.200 1
O2 O 0.360 0.989 0.641 1
O3 O 0.376 0.596 0.509 1
O4 O 0.639 0.164 0.184 1
O5 O 0.691 0.721 0.065 1
O6 O 0.817 0.707 0.459 1
```

Magnetic moment in Bohr magnetons per cell: 0.00
V in Å³/cell: 236.6
E above lowest polymorph in kcal/mol of atoms: 2.595


No. 5
VASP calculation (PBE) on a relaxed structure of Na7MgNbO6.

The structure in CIF format:
```
data_Na7MgNbO6
_cell_length_a 6.061
_cell_length_b 6.587
_cell_length_c 7.497
_cell_angle_alpha 72.54
_cell_angle_beta 73.30
_cell_angle_gamma 64.31
_space_group_name_H-M_alt 'P 1'
_space_group_IT_number 1
loop_
_space_group_symop_operation_xyz
'x,y,z'
loop_
_atom_site_label
_atom_site_type_symbol
_atom_site_fract_x
_atom_site_fract_y
_atom_site_fract_z
_atom_site_occupancy
Na1 Na 0.000 0.000 0.000 1
Na2 Na 0.015 0.152 0.525 1
Na3 Na 0.069 0.670 0.403 1
Na4 Na 0.221 0.395 0.083 1
Na5 Na 0.396 0.273 0.649 1
Na6 Na 0.574 0.944 0.340 1
Na7 Na 0.732 0.841 0.866 1
Mg1 Mg 0.612 0.531 0.738 1
Nb1 Nb 0.628 0.481 0.236 1
O1 O 0.381 0.321 0.342 1
O2 O 0.480 0.629 0.003 1
O3 O 0.485 0.607 0.475 1
O4 O 0.712 0.200 0.797 1
O5 O 0.833 0.677 0.160 1
O6 O 0.912 0.198 0.236 1
```

Magnetic moment in Bohr magnetons per cell: 0.00
V in Å³/cell: 252.9
E above lowest polymorph in kcal/mol of atoms: 0.000


No. 6
VASP calculation (PBE) on a relaxed structure of Na9Mg5Nb7P18O72.

The structure in CIF format:
```
data_Na9Mg5Nb7P18O72
_cell_length_a 8.787
_cell_length_b 8.823
_cell_length_c 22.642
_cell_angle_alpha 90.16
_cell_angle_beta 90.01
_cell_angle_gamma 119.80
_space_group_name_H-M_alt 'P 1'
_space_group_IT_number 1
loop_
_space_group_symop_operation_xyz
'x,y,z'
loop_
_atom_site_label
_atom_site_type_symbol
_atom_site_fract_x
_atom_site_fract_y
_atom_site_fract_z
_atom_site_occupancy
Na1 Na 0.000 0.000 0.000 1
Na2 Na 0.000 0.002 0.504 1
Na3 Na 0.024 0.326 0.922 1
Na4 Na 0.332 0.658 0.335 1
Na5 Na 0.340 0.678 0.833 1
Na6 Na 0.356 0.991 0.255 1
Na7 Na 0.663 0.333 0.166 1
Na8 Na 0.666 0.336 0.679 1
Na9 Na 0.965 0.659 0.088 1
Mg1 Mg 0.332 0.668 0.696 1
Mg2 Mg 0.333 0.663 0.194 1
Mg3 Mg 0.660 0.330 0.027 1
Mg4 Mg 0.998 0.996 0.861 1
Mg5 Mg 0.999 0.003 0.363 1
Nb1 Nb 0.333 0.670 0.488 1
Nb2 Nb 0.339 0.674 0.987 1
Nb3 Nb 0.663 0.335 0.821 1
Nb4 Nb 0.665 0.335 0.530 1
Nb5 Nb 0.671 0.342 0.319 1
Nb6 Nb 0.998 0.008 0.154 1
Nb7 Nb 0.999 0.001 0.660 1
P1 P 0.003 0.717 0.260 1
P2 P 0.004 0.297 0.763 1
P3 P 0.043 0.383 0.093 1
P4 P 0.046 0.671 0.594 1
P5 P 0.283 0.295 0.262 1
P6 P 0.289 0.997 0.762 1
P7 P 0.329 0.380 0.594 1
P8 P 0.340 0.963 0.096 1
P9 P 0.375 0.047 0.425 1
P10 P 0.375 0.331 0.928 1
P11 P 0.620 0.664 0.095 1
P12 P 0.621 0.955 0.594 1
P13 P 0.669 0.049 0.927 1
P14 P 0.669 0.627 0.426 1
P15 P 0.705 0.713 0.762 1
P16 P 0.708 0.996 0.262 1
P17 P 0.953 0.630 0.929 1
P18 P 0.955 0.333 0.426 1
O1 O 0.022 0.212 0.818 1
O2 O 0.023 0.834 0.597 1
O3 O 0.029 0.196 0.100 1
O4 O 0.030 0.829 0.313 1
O5 O 0.121 0.635 0.647 1
O6 O 0.128 0.495 0.146 1
O7 O 0.136 0.505 0.433 1
O8 O 0.139 0.636 0.933 1
O9 O 0.158 0.463 0.035 1
O10 O 0.158 0.476 0.752 1
O11 O 0.160 0.691 0.252 1
O12 O 0.160 0.694 0.537 1
O13 O 0.160 0.969 0.099 1
O14 O 0.166 0.195 0.597 1
O15 O 0.179 0.206 0.316 1
O16 O 0.181 0.980 0.815 1
O17 O 0.187 0.183 0.919 1
O18 O 0.196 0.027 0.422 1
O19 O 0.198 0.029 0.704 1
O20 O 0.200 0.171 0.205 1
O21 O 0.302 0.837 0.040 1
O22 O 0.307 0.471 0.537 1
O23 O 0.316 0.477 0.253 1
O24 O 0.316 0.844 0.751 1
O25 O 0.355 0.879 0.152 1
O26 O 0.360 0.505 0.932 1
O27 O 0.365 0.865 0.433 1
O28 O 0.366 0.491 0.647 1
O29 O 0.460 0.310 0.981 1
O30 O 0.470 0.301 0.266 1
O31 O 0.473 0.173 0.765 1
O32 O 0.476 0.162 0.479 1
O33 O 0.491 0.131 0.369 1
O34 O 0.492 0.144 0.086 1
O35 O 0.492 0.354 0.581 1
O36 O 0.493 0.363 0.871 1
O37 O 0.496 0.636 0.433 1
O38 O 0.497 0.864 0.933 1
O39 O 0.510 0.881 0.647 1
O40 O 0.514 0.645 0.148 1
O41 O 0.521 0.850 0.253 1
O42 O 0.525 0.686 0.751 1
O43 O 0.531 0.841 0.537 1
O44 O 0.533 0.696 0.038 1
O45 O 0.636 0.135 0.870 1
O46 O 0.638 0.507 0.371 1
O47 O 0.646 0.143 0.581 1
O48 O 0.658 0.516 0.086 1
O49 O 0.684 0.527 0.480 1
O50 O 0.693 0.171 0.267 1
O51 O 0.697 0.529 0.765 1
O52 O 0.698 0.161 0.980 1
O53 O 0.794 0.976 0.316 1
O54 O 0.795 0.822 0.815 1
O55 O 0.808 0.838 0.099 1
O56 O 0.808 0.978 0.597 1
O57 O 0.827 0.025 0.918 1
O58 O 0.827 0.030 0.205 1
O59 O 0.828 0.306 0.765 1
O60 O 0.828 0.804 0.422 1
O61 O 0.829 0.804 0.704 1
O62 O 0.831 0.530 0.266 1
O63 O 0.841 0.319 0.480 1
O64 O 0.854 0.546 0.985 1
O65 O 0.858 0.509 0.581 1
O66 O 0.860 0.358 0.085 1
O67 O 0.865 0.364 0.371 1
O68 O 0.865 0.503 0.873 1
O69 O 0.968 0.797 0.202 1
O70 O 0.972 0.172 0.706 1
O71 O 0.974 0.174 0.422 1
O72 O 0.982 0.811 0.920 1
```

Magnetic moment in Bohr magnetons per cell: 0.00
V in Å³/cell: 1523.2
Total energy in eV per cell: -809.78